MnOF after structural relaxation, computed with PBE with a Hubbard U.

Calculated values
Raw total energy, eV/atom: -6.759

Structure (CIF):
```
data_MnOF
_cell_length_a 5.5245
_cell_length_b 5.8008
_cell_length_c 5.5281
_cell_angle_alpha 85.56
_cell_angle_beta 116.61
_cell_angle_gamma 85.84
_space_group_name_H-M_alt 'P 1'
_space_group_IT_number 1
loop_
_space_group_symop_operation_xyz
'x,y,z'
loop_
_atom_site_label
_atom_site_type_symbol
_atom_site_fract_x
_atom_site_fract_y
_atom_site_fract_z
Mn1 Mn 0.5098 0.8741 0.7413
Mn2 Mn 0.4902 0.1259 0.2587
Mn3 Mn 0.0097 0.3741 0.2413
Mn4 Mn 0.9903 0.6259 0.7587
O1 O 0.7877 0.6251 0.9620
O2 O 0.2877 0.1251 0.4621
O3 O 0.2123 0.3749 0.0380
O4 O 0.7123 0.8749 0.5379
F1 F 0.6987 0.1265 0.0495
F2 F 0.8013 0.3734 0.4505
F3 F 0.1987 0.6266 0.5495
F4 F 0.3013 0.8735 0.9505
```



Li6Cr3P6WO24 after structural relaxation, computed with PBE with a Hubbard U.

Calculated values
Raw total energy, eV/atom: -7.018

Structure (CIF):
```
data_Li6Cr3P6WO24
_cell_length_a 8.6012
_cell_length_b 8.6290
_cell_length_c 8.6366
_cell_angle_alpha 61.90
_cell_angle_beta 61.88
_cell_angle_gamma 61.87
_space_group_name_H-M_alt 'P 1'
_space_group_IT_number 1
loop_
_space_group_symop_operation_xyz
'x,y,z'
loop_
_atom_site_label
_atom_site_type_symbol
_atom_site_fract_x
_atom_site_fract_y
_atom_site_fract_z
O1 O 0.4398 0.2359 0.5810
O2 O 0.5275 0.1171 0.3041
O3 O 0.5990 0.0301 0.8092
O4 O 0.3702 0.0033 0.2095
O5 O 0.8103 0.5986 0.0276
O6 O 0.6976 0.4821 0.8855
O7 O 0.5952 0.4208 0.2414
O8 O 0.2401 0.5934 0.4179
O9 O 0.8853 0.6994 0.4817
O10 O 0.7302 0.9176 0.1083
O11 O 0.1092 0.7325 0.9218
O12 O 0.0334 0.8064 0.5980
O13 O 0.0505 0.9223 0.2615
O14 O 0.1992 0.3802 0.9869
O15 O 0.3111 0.5047 0.1157
O16 O 0.9071 0.2534 0.0703
O17 O 0.5465 0.7725 0.4267
O18 O 0.9667 0.2028 0.3790
O19 O 0.9213 0.1091 0.7276
O20 O 0.2555 0.0728 0.9091
O21 O 0.4248 0.5501 0.7666
O22 O 0.7699 0.4281 0.5489
O23 O 0.1264 0.2972 0.4900
O24 O 0.4794 0.8878 0.6995
P1 P 0.5363 0.9602 0.2592
P2 P 0.7515 0.4457 0.0494
P3 P 0.4427 0.0550 0.7511
P4 P 0.2588 0.5348 0.9569
P5 P 0.9548 0.2580 0.5308
P6 P 0.0535 0.7520 0.4417
Li1 Li 0.6475 0.2767 0.8324
Li2 Li 0.0284 0.0063 0.0008
Li3 Li 0.7506 0.1448 0.3492
Li4 Li 0.8363 0.6498 0.2757
Li5 Li 0.2754 0.8378 0.6478
Li6 Li 0.4663 0.5026 0.4949
Cr1 Cr 0.1409 0.1458 0.1388
Cr2 Cr 0.6453 0.6478 0.6472
Cr3 Cr 0.3586 0.3588 0.3533
W1 W 0.8566 0.8546 0.8540
```



Among the records above, which one has the highest raw total energy?
MnOF



What is the formula in the first record?
MnOF